1.
Pr2CdHg | r²SCAN | relaxed

The calculation puts the calculated formation energy at -0.448 eV per atom. As for the space-group type: No. 225.

Cell: 5.452 5.452 5.452 Å, 60.00 60.00 60.00°
Sites, in units of the cell vectors:
Cd (0.500, 0.500, 0.500)
Pr (0.750, 0.750, 0.750)
Pr (0.250, 0.250, 0.250)
Hg (0.000, 0.000, 0.000)

2.
SmCdHg2 | r²SCAN | relaxed

The calculation puts the calculated formation energy at -0.467 eV per atom. As for the space-group type: No. 225.

Cell: 5.113 5.113 5.113 Å, 60.00 60.00 60.00°
Sites, in units of the cell vectors:
Hg (0.500, 0.500, 0.500)
Hg (0.000, 0.000, 0.000)
Cd (0.250, 0.250, 0.250)
Sm (0.750, 0.750, 0.750)

3.
Sr2CdHg | r²SCAN | relaxed

The calculation puts the calculated formation energy at -0.435 eV per atom. As for the space-group type: No. 225.

Cell: 5.671 5.671 5.671 Å, 60.00 60.00 60.00°
Sites, in units of the cell vectors:
Sr (0.250, 0.250, 0.250)
Sr (0.750, 0.750, 0.750)
Cd (0.500, 0.500, 0.500)
Hg (0.000, 0.000, 0.000)

4.
ThCdHg2 | r²SCAN | relaxed

The calculation puts the calculated formation energy at -0.285 eV per atom. As for the space-group type: No. 225.

Cell: 5.184 5.184 5.184 Å, 60.00 60.00 60.00°
Sites, in units of the cell vectors:
Cd (0.250, 0.250, 0.250)
Hg (0.500, 0.500, 0.500)
Hg (0.000, 0.000, 0.000)
Th (0.750, 0.750, 0.750)

5.
TmCdHg2 | r²SCAN | relaxed

The calculation puts the calculated formation energy at -0.385 eV per atom. As for the space-group type: No. 225.

Cell: 5.008 5.008 5.008 Å, 60.00 60.00 60.00°
Sites, in units of the cell vectors:
Cd (0.250, 0.250, 0.250)
Hg (0.500, 0.500, 0.500)
Hg (0.000, 0.000, 0.000)
Tm (0.750, 0.750, 0.750)

6.
Tm2CdHg | r²SCAN | relaxed

The calculation puts the calculated formation energy at -0.464 eV per atom. As for the space-group type: No. 225.

Cell: 5.167 5.167 5.167 Å, 60.00 60.00 60.00°
Sites, in units of the cell vectors:
Cd (0.250, 0.250, 0.250)
Hg (0.750, 0.750, 0.750)
Tm (0.000, 0.000, 0.000)
Tm (0.500, 0.500, 0.500)

7.
HoCd3 | r²SCAN | relaxed

The calculation puts the calculated formation energy at -0.312 eV per atom. As for the space-group type: No. 63.

Cell: 4.830 6.450 6.450 Å, 113.51 90.00 90.00°
Sites, in units of the cell vectors:
Cd (0.750, 0.311, 0.123)
Cd (0.750, 0.826, 0.174)
Cd (0.750, 0.877, 0.689)
Cd (0.250, 0.689, 0.877)
Cd (0.250, 0.123, 0.311)
Cd (0.250, 0.174, 0.826)
Ho (0.250, 0.636, 0.364)
Ho (0.750, 0.364, 0.636)

8.
HoCdIn | r²SCAN | relaxed

The calculation puts the calculated formation energy at -0.483 eV per atom. As for the space-group type: No. 164.

Cell: 4.810 4.810 7.429 Å, 90.00 90.00 120.00°
Sites, in units of the cell vectors:
Ho (0.000, 0.000, 0.264)
Ho (0.000, 0.000, 0.736)
In (0.333, 0.667, 0.056)
In (0.667, 0.333, 0.944)
Cd (0.667, 0.333, 0.529)
Cd (0.333, 0.667, 0.471)

9.
Ho2CdIn | r²SCAN | relaxed

The calculation puts the calculated formation energy at -0.499 eV per atom. As for the space-group type: No. 225.

Cell: 5.251 5.251 5.251 Å, 60.00 60.00 60.00°
Sites, in units of the cell vectors:
Cd (0.250, 0.250, 0.250)
Ho (0.000, 0.000, 0.000)
Ho (0.500, 0.500, 0.500)
In (0.750, 0.750, 0.750)

10.
Ho4CdIr | r²SCAN | relaxed

The calculation puts the calculated formation energy at -0.602 eV per atom. As for the space-group type: No. 216.

Cell: 9.536 9.536 9.536 Å, 60.00 60.00 60.00°
Sites, in units of the cell vectors:
Ho (0.060, 0.060, 0.440)
Ho (0.060, 0.440, 0.060)
Ho (0.812, 0.188, 0.812)
Ho (0.188, 0.812, 0.188)
Ho (0.188, 0.188, 0.812)
Ho (0.812, 0.812, 0.188)
Ho (0.060, 0.440, 0.440)
Ho (0.599, 0.599, 0.204)
Ho (0.599, 0.599, 0.599)
Ho (0.440, 0.060, 0.060)
Ho (0.204, 0.599, 0.599)
Ho (0.440, 0.060, 0.440)
Ho (0.599, 0.204, 0.599)
Ho (0.188, 0.812, 0.812)
Ho (0.812, 0.188, 0.188)
Ho (0.440, 0.440, 0.060)
Ir (0.391, 0.391, 0.391)
Ir (0.391, 0.826, 0.391)
Ir (0.826, 0.391, 0.391)
Ir (0.391, 0.391, 0.826)
Cd (0.830, 0.509, 0.830)
Cd (0.830, 0.830, 0.830)
Cd (0.830, 0.830, 0.509)
Cd (0.509, 0.830, 0.830)

11.
HoLuCd2 | r²SCAN | relaxed

The calculation puts the calculated formation energy at -0.370 eV per atom. As for the space-group type: No. 225.

Cell: 5.191 5.191 5.191 Å, 60.00 60.00 60.00°
Sites, in units of the cell vectors:
Lu (0.750, 0.750, 0.750)
Cd (0.500, 0.500, 0.500)
Cd (0.000, 0.000, 0.000)
Ho (0.250, 0.250, 0.250)

12.
HoCdNi4 | r²SCAN | relaxed

The calculation puts the calculated formation energy at -0.337 eV per atom. As for the space-group type: No. 216.

Cell: 4.911 4.911 4.911 Å, 60.00 60.00 60.00°
Sites, in units of the cell vectors:
Ni (0.626, 0.122, 0.626)
Ni (0.122, 0.626, 0.626)
Ni (0.626, 0.626, 0.122)
Ni (0.626, 0.626, 0.626)
Ho (0.250, 0.250, 0.250)
Cd (0.000, 0.000, 0.000)

13.
Ho4CdPd | r²SCAN | relaxed

The calculation puts the calculated formation energy at -0.503 eV per atom. As for the space-group type: No. 216.

Cell: 9.594 9.594 9.594 Å, 60.00 60.00 60.00°
Sites, in units of the cell vectors:
Ho (0.354, 0.938, 0.354)
Ho (0.810, 0.190, 0.190)
Ho (0.565, 0.935, 0.565)
Ho (0.935, 0.935, 0.565)
Ho (0.935, 0.565, 0.565)
Ho (0.190, 0.190, 0.810)
Ho (0.935, 0.565, 0.935)
Ho (0.565, 0.935, 0.935)
Ho (0.190, 0.810, 0.810)
Ho (0.810, 0.190, 0.810)
Ho (0.190, 0.810, 0.190)
Ho (0.354, 0.354, 0.938)
Ho (0.938, 0.354, 0.354)
Ho (0.565, 0.565, 0.935)
Ho (0.354, 0.354, 0.354)
Ho (0.810, 0.810, 0.190)
Cd (0.582, 0.255, 0.582)
Cd (0.255, 0.582, 0.582)
Cd (0.582, 0.582, 0.582)
Cd (0.582, 0.582, 0.255)
Pd (0.145, 0.566, 0.145)
Pd (0.566, 0.145, 0.145)
Pd (0.145, 0.145, 0.566)
Pd (0.145, 0.145, 0.145)

14.
HoCdPt2 | r²SCAN | relaxed

The calculation puts the calculated formation energy at -0.928 eV per atom. As for the space-group type: No. 225.

Cell: 4.752 4.752 4.752 Å, 60.00 60.00 60.00°
Sites, in units of the cell vectors:
Ho (0.750, 0.750, 0.750)
Pt (0.500, 0.500, 0.500)
Pt (0.000, 0.000, 0.000)
Cd (0.250, 0.250, 0.250)

15.
YHoCd2 | r²SCAN | relaxed

The calculation puts the calculated formation energy at -0.392 eV per atom. As for the space-group type: No. 225.

Cell: 5.260 5.260 5.260 Å, 60.00 60.00 60.00°
Sites, in units of the cell vectors:
Cd (0.500, 0.500, 0.500)
Cd (0.000, 0.000, 0.000)
Y (0.750, 0.750, 0.750)
Ho (0.250, 0.250, 0.250)

16.
YbHoCd2 | r²SCAN | relaxed

The calculation puts the calculated formation energy at -0.380 eV per atom. As for the space-group type: No. 225.

Cell: 5.200 5.200 5.200 Å, 60.00 60.00 60.00°
Sites, in units of the cell vectors:
Ho (0.500, 0.500, 0.500)
Cd (0.250, 0.250, 0.250)
Cd (0.750, 0.750, 0.750)
Yb (0.000, 0.000, 0.000)

17.
Cd4Sb2I3 | r²SCAN | relaxed

The calculation puts the calculated formation energy at -0.433 eV per atom. As for the space-group type: No. 205.

Cell: 13.692 13.692 13.692 Å, 90.00 90.00 90.00°
Sites, in units of the cell vectors:
I (0.237, 0.183, 0.569)
I (0.817, 0.431, 0.763)
I (0.683, 0.931, 0.763)
I (0.931, 0.737, 0.183)
I (0.737, 0.183, 0.931)
I (0.183, 0.931, 0.737)
I (0.763, 0.683, 0.931)
I (0.317, 0.069, 0.237)
I (0.931, 0.763, 0.683)
I (0.069, 0.263, 0.817)
I (0.569, 0.237, 0.183)
I (0.237, 0.317, 0.069)
I (0.817, 0.069, 0.263)
I (0.263, 0.683, 0.569)
I (0.263, 0.817, 0.069)
I (0.431, 0.763, 0.817)
I (0.569, 0.263, 0.683)
I (0.069, 0.237, 0.317)
I (0.737, 0.317, 0.431)
I (0.763, 0.817, 0.431)
I (0.183, 0.569, 0.237)
I (0.683, 0.569, 0.263)
I (0.431, 0.737, 0.317)
I (0.317, 0.431, 0.737)
Sb (0.895, 0.395, 0.105)
Sb (0.395, 0.105, 0.895)
Sb (0.441, 0.941, 0.559)
Sb (0.105, 0.605, 0.895)
Sb (0.105, 0.895, 0.395)
Sb (0.559, 0.059, 0.441)
Sb (0.059, 0.059, 0.059)
Sb (0.941, 0.559, 0.441)
Sb (0.941, 0.941, 0.941)
Sb (0.605, 0.895, 0.105)
Sb (0.605, 0.605, 0.605)
Sb (0.441, 0.559, 0.059)
Sb (0.059, 0.441, 0.559)
Sb (0.395, 0.395, 0.395)
Sb (0.559, 0.441, 0.941)
Sb (0.895, 0.105, 0.605)
Cd (0.982, 0.746, 0.969)
Cd (0.222, 0.778, 0.278)
Cd (0.531, 0.482, 0.746)
Cd (0.222, 0.722, 0.778)
Cd (0.278, 0.222, 0.778)
Cd (0.778, 0.278, 0.222)
Cd (0.254, 0.031, 0.018)
Cd (0.969, 0.518, 0.246)
Cd (0.018, 0.246, 0.531)
Cd (0.778, 0.222, 0.722)
Cd (0.531, 0.018, 0.246)
Cd (0.754, 0.469, 0.982)
Cd (0.246, 0.531, 0.018)
Cd (0.746, 0.969, 0.982)
Cd (0.018, 0.254, 0.031)
Cd (0.754, 0.031, 0.482)
Cd (0.518, 0.246, 0.969)
Cd (0.722, 0.722, 0.722)
Cd (0.482, 0.746, 0.531)
Cd (0.254, 0.469, 0.518)
Cd (0.031, 0.482, 0.754)
Cd (0.469, 0.518, 0.254)
Cd (0.469, 0.982, 0.754)
Cd (0.746, 0.531, 0.482)
Cd (0.278, 0.278, 0.278)
Cd (0.518, 0.254, 0.469)
Cd (0.246, 0.969, 0.518)
Cd (0.722, 0.778, 0.222)
Cd (0.031, 0.018, 0.254)
Cd (0.482, 0.754, 0.031)
Cd (0.982, 0.754, 0.469)
Cd (0.969, 0.982, 0.746)

18.
Tl3Cd2I7 | r²SCAN | relaxed

The calculation puts the calculated formation energy at -0.743 eV per atom. As for the space-group type: No. 55.

Cell: 4.541 14.072 15.164 Å, 90.00 90.00 90.00°
Sites, in units of the cell vectors:
Tl (0.000, 0.108, 0.137)
Tl (0.000, 0.392, 0.637)
Tl (0.000, 0.500, 0.000)
Tl (0.000, 0.000, 0.500)
Tl (0.000, 0.608, 0.363)
Tl (0.000, 0.892, 0.863)
I (0.000, 0.340, 0.306)
I (0.500, 0.065, 0.317)
I (0.500, 0.296, 0.063)
I (0.000, 0.660, 0.694)
I (0.500, 0.500, 0.500)
I (0.000, 0.160, 0.806)
I (0.500, 0.935, 0.683)
I (0.500, 0.435, 0.817)
I (0.500, 0.000, 0.000)
I (0.000, 0.840, 0.194)
I (0.500, 0.704, 0.937)
I (0.500, 0.796, 0.437)
I (0.500, 0.565, 0.183)
I (0.500, 0.204, 0.563)
Cd (0.500, 0.255, 0.386)
Cd (0.500, 0.245, 0.886)
Cd (0.500, 0.755, 0.114)
Cd (0.500, 0.745, 0.614)

19.
CdIn3 | r²SCAN | relaxed

The calculation puts the calculated formation energy at 0.064 eV per atom. As for the space-group type: No. 225.

Cell: 5.269 5.269 5.269 Å, 60.00 60.00 60.00°
Sites, in units of the cell vectors:
Cd (0.000, 0.000, 0.000)
In (0.500, 0.500, 0.500)
In (0.250, 0.250, 0.250)
In (0.750, 0.750, 0.750)

20.
CdIn3 | r²SCAN | relaxed

The calculation puts the calculated formation energy at 0.045 eV per atom. As for the space-group type: No. 194.

Cell: 6.536 6.536 5.547 Å, 90.00 90.00 120.00°
Sites, in units of the cell vectors:
In (0.167, 0.833, 0.250)
In (0.334, 0.167, 0.750)
In (0.666, 0.833, 0.250)
In (0.833, 0.167, 0.750)
In (0.167, 0.334, 0.250)
In (0.833, 0.666, 0.750)
Cd (0.333, 0.667, 0.750)
Cd (0.667, 0.333, 0.250)